The following is a PBE calculation of a relaxed Na6Ca2Nb4Si6S3O36 crystal, from the Materials Project.

Unit cell a=9.1263 b=9.1263 c=23.0260 alpha=90.00 beta=90.00 gamma=120.00
Closest atoms and distances in Å follow each position.
Sites, in units of the cell vectors:
1 Na 0.9663 0.6790 0.9179  3 O 2.42-2.46
2 Na 0.7127 0.0337 0.9179  3 O 2.42-2.46
3 Na 0.3210 0.2873 0.9179  3 O 2.42-2.46
4 Na 0.9663 0.2873 0.4179  3 O 2.42-2.46
5 Na 0.3210 0.0337 0.4179  3 O 2.42-2.46
6 Na 0.7127 0.6790 0.4179  3 O 2.42-2.46
7 Na 0.0000 0.0000 0.4935  6 O 2.49-2.78
8 Na 0.0000 0.0000 0.9935  6 O 2.49-2.78
9 Na 0.6667 0.3333 0.8298  6 O 2.64-2.65
10 Na 0.6667 0.3333 0.3298  6 O 2.64-2.65
11 Na 0.3333 0.6667 0.1632  6 O 2.62-2.72
12 Na 0.3333 0.6667 0.6632  6 O 2.62-2.72
13 Ca 0.0000 0.0000 0.3512  6 O 2.22-2.27
14 Ca 0.0000 0.0000 0.8512  6 O 2.22-2.27
15 Ca 0.6667 0.3333 0.6816  6 O 2.16-2.37
16 Ca 0.6667 0.3333 0.1816  6 O 2.16-2.37
17 Nb 0.0000 0.0000 0.6384  3 O 1.90
18 Nb 0.0000 0.0000 0.1384  3 O 1.90
19 Nb 0.6667 0.3333 0.9839  6 O 1.96-2.13
20 Nb 0.6667 0.3333 0.4839  6 O 1.96-2.13
21 Nb 0.3333 0.6667 0.0219  6 O 1.96-1.99
22 Nb 0.3333 0.6667 0.5219  6 O 1.96-1.99
23 Nb 0.3333 0.6667 0.3167  3 O 1.91
24 Nb 0.3333 0.6667 0.8167  3 O 1.91
25 Si 0.9624 0.3385 0.5843  4 O 1.56-1.71
26 Si 0.3761 0.0376 0.5843  4 O 1.56-1.71
27 Si 0.6615 0.6239 0.5843  4 O 1.56-1.71
28 Si 0.9624 0.6239 0.0843  4 O 1.56-1.71
29 Si 0.6615 0.0376 0.0843  4 O 1.56-1.71
30 Si 0.3761 0.3385 0.0843  4 O 1.56-1.71
31 Si 0.6176 0.6574 0.9184  4 O 1.60-1.71
32 Si 0.0398 0.3824 0.9184  4 O 1.60-1.71
33 Si 0.3426 0.9602 0.9184  4 O 1.60-1.71
34 Si 0.6176 0.9602 0.4184  4 O 1.60-1.71
35 Si 0.3426 0.3824 0.4184  4 O 1.60-1.71
36 Si 0.0398 0.6574 0.4184  4 O 1.60-1.71
37 S 0.2921 0.9903 0.2507  4 O 1.46-1.53
38 S 0.6982 0.7079 0.2507  4 O 1.46-1.53
39 S 0.0097 0.3018 0.2507  4 O 1.46-1.53
40 S 0.2921 0.3018 0.7507  4 O 1.46-1.53
41 S 0.0097 0.7079 0.7507  4 O 1.46-1.53
42 S 0.6982 0.9903 0.7507  4 O 1.46-1.53
43 O 0.2163 0.0024 0.3059  1 S 1.48
44 O 0.7861 0.7837 0.3059  1 S 1.48
45 O 0.9976 0.2139 0.3059  1 S 1.48
46 O 0.2163 0.2139 0.8059  1 S 1.48
47 O 0.9976 0.7837 0.8059  1 S 1.48
48 O 0.7861 0.0024 0.8059  1 S 1.48
49 O 0.7946 0.9758 0.7000  1 S 1.51
50 O 0.1812 0.2054 0.7000  1 S 1.51
51 O 0.0242 0.8188 0.7000  1 S 1.51
52 O 0.7946 0.8188 0.2000  1 S 1.51
53 O 0.0242 0.2054 0.2000  1 S 1.51
54 O 0.1812 0.9758 0.2000  1 S 1.51
55 O 0.8997 0.3785 0.6419  1 Si 1.56
56 O 0.4788 0.1003 0.6419  1 Si 1.56
57 O 0.6215 0.5212 0.6419  1 Si 1.56
58 O 0.8997 0.5212 0.1419  1 Si 1.56
59 O 0.6215 0.1003 0.1419  1 Si 1.56
60 O 0.4788 0.3785 0.1419  1 Si 1.56
61 O 0.4661 0.3019 0.0256  1 Si 1.70
62 O 0.8358 0.5339 0.0256  1 Si 1.70
63 O 0.6981 0.1642 0.0256  1 Si 1.70
64 O 0.4661 0.1642 0.5256  1 Si 1.70
65 O 0.6981 0.5339 0.5256  1 Si 1.70
66 O 0.8358 0.3019 0.5256  1 Si 1.70
67 O 0.5155 0.6799 0.9712  1 Si 1.61
68 O 0.1643 0.4845 0.9712  1 Si 1.61
69 O 0.3201 0.8357 0.9712  1 Si 1.61
70 O 0.5155 0.8357 0.4712  1 Si 1.61
71 O 0.3201 0.4845 0.4712  1 Si 1.61
72 O 0.1643 0.6799 0.4712  1 Si 1.61
73 O 0.1396 0.6336 0.3591  1 Si 1.71, 1 Nb 1.91
74 O 0.4940 0.8604 0.3591  1 Si 1.71, 1 Nb 1.91
75 O 0.3664 0.5060 0.3591  1 Si 1.71, 1 Nb 1.91
76 O 0.1396 0.5060 0.8591  1 Si 1.71, 1 Nb 1.91
77 O 0.3664 0.8604 0.8591  1 Si 1.71, 1 Nb 1.91
78 O 0.4940 0.6336 0.8591  1 Si 1.71, 1 Nb 1.91
79 O 0.0182 0.8212 0.4155  1 Si 1.60
80 O 0.8030 0.9818 0.4155  1 Si 1.60
81 O 0.1788 0.1970 0.4155  1 Si 1.60
82 O 0.0182 0.1970 0.9155  1 Si 1.60
83 O 0.1788 0.9818 0.9155  1 Si 1.60
84 O 0.8030 0.8212 0.9155  1 Si 1.60
85 O 0.9765 0.1601 0.5928  1 Si 1.71, 1 Nb 1.90
86 O 0.1835 0.0235 0.5928  1 Si 1.71, 1 Nb 1.90
87 O 0.8399 0.8165 0.5928  1 Si 1.71, 1 Nb 1.90
88 O 0.9765 0.8165 0.0928  1 Si 1.71, 1 Nb 1.90
89 O 0.8399 0.0235 0.0928  1 Si 1.71, 1 Nb 1.90
90 O 0.1835 0.1601 0.0928  1 Si 1.71, 1 Nb 1.90
91 O 0.6735 0.1360 0.7470  1 S 1.46
92 O 0.4625 0.3265 0.7470  1 S 1.46
93 O 0.8640 0.5375 0.7470  1 S 1.46
94 O 0.6735 0.5375 0.2470  1 S 1.46
95 O 0.8640 0.3265 0.2470  1 S 1.46
96 O 0.4625 0.1360 0.2470  1 S 1.46
97 O 0.6239 0.4805 0.9219  1 Si 1.65
98 O 0.8566 0.3761 0.9219  1 Si 1.65
99 O 0.5195 0.1434 0.9219  1 Si 1.65
100 O 0.6239 0.1434 0.4219  1 Si 1.65
101 O 0.5195 0.3761 0.4219  1 Si 1.65
102 O 0.8566 0.4805 0.4219  1 Si 1.65
103 O 0.3339 0.4875 0.0689  1 Si 1.63
104 O 0.1535 0.6661 0.0689  1 Si 1.63
105 O 0.5125 0.8465 0.0689  1 Si 1.63
106 O 0.3339 0.8465 0.5689  1 Si 1.63
107 O 0.5125 0.6661 0.5689  1 Si 1.63
108 O 0.1535 0.4875 0.5689  1 Si 1.63
109 O 0.2997 0.8266 0.2522  1 S 1.53
110 O 0.5269 0.7003 0.2522  1 S 1.53
111 O 0.1734 0.4731 0.2522  1 S 1.53
112 O 0.2997 0.4731 0.7522  1 S 1.53
113 O 0.1734 0.7003 0.7522  1 S 1.53
114 O 0.5269 0.8266 0.7522  1 S 1.53

## Properties
DFT formation energy ... -2.74 eV/atom
Space group ... No. 158
Mass density ... 2.86 g/cm3
E_tot ... -814.34 eV per cell